Entry 1:
Material: NdAg2
Method: DFT, meta-GGA r2SCAN
State: optimized geometry

total DFT energy (no corrections) = -146.00 eV per cell
calculated volume = 23.252 Å³ per atom
ΔE_f = -0.29 eV/atom

Lattice parameters (Å, degrees): 5.9311 5.9311 5.9311 132.57 105.65 93.08
With the nearest neighbours (Å) after each atom.
Fractional coordinates of all 6 atoms:
Nd (0.2872, 0.0372, 0.2500)  12 Ag 3.20-3.38
Nd (0.7128, 0.9628, 0.7500)  12 Ag 3.20-3.38
Ag (0.1237, 0.6654, 0.4584)  4 Ag 2.76-2.99
Ag (0.2930, 0.3346, 0.9584)  4 Ag 2.76-2.99
Ag (0.7070, 0.6654, 0.0416)  4 Ag 2.76-2.99
Ag (0.8763, 0.3346, 0.5416)  4 Ag 2.76-2.99

=====

Entry 2:
Material: YGeIr
Method: DFT, meta-GGA r2SCAN
State: optimized geometry

total DFT energy (no corrections) = -358.67 eV per cell
calculated volume = 18.676 Å³ per atom
ΔE_f = -1.04 eV/atom

Lattice parameters (Å, degrees): 6.8756 4.2902 7.5974 90.00 90.00 90.00
With the nearest neighbours (Å) after each atom.
Fractional coordinates of all 12 atoms:
Y (0.0047, 0.2500, 0.1919)  5 Ge 2.96-3.03, 6 Ir 3.03-3.29
Y (0.4953, 0.7500, 0.6919)  5 Ge 2.96-3.03, 6 Ir 3.03-3.29
Y (0.5047, 0.2500, 0.3081)  5 Ge 2.96-3.03, 6 Ir 3.03-3.29
Y (0.9953, 0.7500, 0.8081)  5 Ge 2.96-3.03, 6 Ir 3.03-3.29
Ge (0.2063, 0.7500, 0.3901)  4 Ir 2.54-2.63
Ge (0.2937, 0.2500, 0.8901)  4 Ir 2.54-2.63
Ge (0.7063, 0.7500, 0.1099)  4 Ir 2.54-2.63
Ge (0.7937, 0.2500, 0.6099)  4 Ir 2.54-2.63
Ir (0.1599, 0.2500, 0.5654)  4 Ge 2.54-2.63
Ir (0.3401, 0.7500, 0.0654)  4 Ge 2.54-2.63
Ir (0.6599, 0.2500, 0.9346)  4 Ge 2.54-2.63
Ir (0.8401, 0.7500, 0.4346)  4 Ge 2.54-2.63

=====

Entry 3:
Material: YbNd3
Method: DFT, meta-GGA r2SCAN
State: optimized geometry

total DFT energy (no corrections) = -249.41 eV per cell
calculated volume = 34.438 Å³ per atom
ΔE_f = 0.02 eV/atom

Lattice parameters (Å, degrees): 7.4136 7.4136 5.7882 90.00 90.00 120.00
With the nearest neighbours (Å) after each atom.
Fractional coordinates of all 8 atoms:
Yb (0.3333, 0.6667, 0.2500)  12 Nd 3.58-3.71
Yb (0.6667, 0.3333, 0.7500)  12 Nd 3.58-3.71
Nd (0.1688, 0.3375, 0.7500)  4 Yb 3.58-3.71, 8 Nd 3.62-3.75
Nd (0.1688, 0.8312, 0.7500)  4 Yb 3.58-3.71, 8 Nd 3.62-3.75
Nd (0.3375, 0.1688, 0.2500)  4 Yb 3.58-3.71, 8 Nd 3.62-3.75
Nd (0.6625, 0.8312, 0.7500)  4 Yb 3.58-3.71, 8 Nd 3.62-3.75
Nd (0.8312, 0.1688, 0.2500)  4 Yb 3.58-3.71, 8 Nd 3.62-3.75
Nd (0.8312, 0.6625, 0.2500)  4 Yb 3.58-3.71, 8 Nd 3.62-3.75